Entry 1:
Here is crystalline CuReO4 at its relaxed geometry from the Materials Project database. Energies are from PBE.

Its space group is No. 14. Its total energy is -7.360 eV per atom.

a = 9.0466 Å, b = 6.6214 Å, c = 13.0788 Å
α = 89.60°, β = 90.00°, γ = 90.00°
Last column: nearest neighbours and their distance in Å.
Fractional positions:
Cu1 0.5532 0.1207 0.8871  3 O 1.94-2.01
Cu2 0.8641 0.6927 0.1095  4 O 1.93-2.05
Cu3 0.1359 0.3073 0.8905  4 O 1.93-2.05
Cu4 0.0532 0.8793 0.6129  3 O 1.94-2.01
Cu5 0.9468 0.1207 0.3871  3 O 1.94-2.01
Cu6 0.3641 0.3073 0.3905  4 O 1.93-2.05
Cu7 0.6359 0.6927 0.6095  4 O 1.93-2.05
Cu8 0.4468 0.8793 0.1129  3 O 1.94-2.01
O1 0.0158 0.6232 0.2206  1 Re 1.76
O2 0.0683 0.5853 0.5949  1 Re 1.77, 1 Cu 1.97
O3 0.9914 0.1579 0.5926  1 Re 1.78, 1 Cu 1.94
O4 0.0890 0.0169 0.8782  1 Re 1.78, 1 Cu 1.98
O5 0.1015 0.1875 0.2631  1 Re 1.77
O6 0.8985 0.8125 0.7369  1 Re 1.77
O7 0.0086 0.8421 0.4074  1 Re 1.78, 1 Cu 1.94
O8 0.7371 0.4599 0.1248  1 Re 1.77, 1 Cu 1.93
O9 0.5086 0.1579 0.0926  1 Re 1.78, 1 Cu 1.94
O10 0.7271 0.0781 0.3860  1 Re 1.76
O11 0.4317 0.5853 0.0949  1 Re 1.77, 1 Cu 1.97
O12 0.5158 0.3768 0.2794  1 Re 1.76
O13 0.4110 0.0169 0.3782  1 Re 1.78, 1 Cu 1.98
O14 0.8943 0.7017 0.9542  1 Re 1.76
O15 0.9110 0.9831 0.1218  1 Re 1.78, 1 Cu 1.98
O16 0.9842 0.3768 0.7794  1 Re 1.76
O17 0.7729 0.0781 0.8860  1 Re 1.76
O18 0.5890 0.9831 0.6218  1 Re 1.78, 1 Cu 1.98
O19 0.3985 0.1875 0.7631  1 Re 1.77
O20 0.2629 0.5401 0.8752  1 Re 1.77, 1 Cu 1.93
O21 0.6057 0.7017 0.4542  1 Re 1.76
O22 0.5683 0.4147 0.9051  1 Re 1.77, 1 Cu 1.97
O23 0.4914 0.8421 0.9074  1 Re 1.78, 1 Cu 1.94
O24 0.2729 0.9219 0.6140  1 Re 1.76
O25 0.3943 0.2983 0.5458  1 Re 1.76
O26 0.4842 0.6232 0.7206  1 Re 1.76
O27 0.6015 0.8125 0.2369  1 Re 1.77
O28 0.7629 0.4599 0.6248  1 Re 1.77, 1 Cu 1.93
O29 0.9317 0.4147 0.4051  1 Re 1.77, 1 Cu 1.97
O30 0.2371 0.5401 0.3752  1 Re 1.77, 1 Cu 1.93
O31 0.1057 0.2983 0.0458  1 Re 1.76
O32 0.2271 0.9219 0.1140  1 Re 1.76
Re1 0.0864 0.1001 0.1357  4 O 1.76-1.78
Re2 0.4136 0.1001 0.6357  4 O 1.76-1.78
Re3 0.0498 0.6030 0.3528  4 O 1.76-1.78
Re4 0.5864 0.8999 0.3643  4 O 1.76-1.78
Re5 0.9502 0.3970 0.6472  4 O 1.76-1.78
Re6 0.5498 0.3970 0.1472  4 O 1.76-1.78
Re7 0.9136 0.8999 0.8643  4 O 1.76-1.78
Re8 0.4502 0.6030 0.8528  4 O 1.76-1.78

Entry 2:
Here is crystalline GdGa3Os at its relaxed geometry from the Materials Project database. Energies are from PBE.

Its space group is No. 221. Its total energy is -7.362 eV per atom.

a = 6.4533 Å, b = 6.4533 Å, c = 6.4533 Å
α = 90.00°, β = 90.00°, γ = 90.00°
Last column: nearest neighbours and their distance in Å.
Fractional positions:
Ga1 0.2894 0.2894 0.7106  3 Os 2.68, 3 Ga 2.72, 3 Gd 2.97
Ga2 0.7106 0.2894 0.7106  3 Os 2.68, 3 Ga 2.72, 3 Gd 2.97
Ga3 0.7106 0.7106 0.2894  3 Os 2.68, 3 Ga 2.72, 3 Gd 2.97
Ga4 0.7106 0.7106 0.7106  3 Os 2.68, 3 Ga 2.72, 3 Gd 2.97
Ga5 0.0000 0.0000 0.0000  6 Gd 3.23, 8 Ga 3.23
Ga6 0.2894 0.7106 0.2894  3 Os 2.68, 3 Ga 2.72, 3 Gd 2.97
Ga7 0.7106 0.2894 0.2894  3 Os 2.68, 3 Ga 2.72, 3 Gd 2.97
Ga8 0.2894 0.2894 0.2894  3 Os 2.68, 3 Ga 2.72, 3 Gd 2.97
Ga9 0.2894 0.7106 0.7106  3 Os 2.68, 3 Ga 2.72, 3 Gd 2.97
Gd1 0.0000 0.0000 0.5000  10 Ga 2.97-3.23, 4 Os 3.23
Gd2 0.5000 0.0000 0.0000  10 Ga 2.97-3.23, 4 Os 3.23
Gd3 0.0000 0.5000 0.0000  10 Ga 2.97-3.23, 4 Os 3.23
Os1 0.5000 0.5000 0.0000  8 Ga 2.68
Os2 0.0000 0.5000 0.5000  8 Ga 2.68
Os3 0.5000 0.0000 0.5000  8 Ga 2.68

Entry 3:
Here is crystalline Mg6Si5 at its relaxed geometry from the Materials Project database. Energies are from PBE.

Its space group is No. 1. Its energy above the most stable polymorph in this dataset is 147.4 meV per atom.

a = 4.8653 Å, b = 6.0027 Å, c = 14.2382 Å
α = 84.84°, β = 86.35°, γ = 82.58°
Last column: nearest neighbours and their distance in Å.
Fractional positions:
Si1 0.4054 0.8662 0.4333  3 Si 2.69-2.85, 5 Mg 2.75-2.95
Si2 0.5109 0.6258 0.2688  3 Si 2.55-2.85, 3 Mg 2.77-2.82
Si3 0.4288 0.0905 0.2616  4 Si 2.58-2.76, 1 Mg 2.87
Si4 0.7150 0.8467 0.6974  2 Si 2.54-2.65, 4 Mg 2.77-2.84
Si5 0.7386 0.4209 0.6995  3 Si 2.51-2.63, 1 Mg 2.77
Si6 0.9924 0.0725 0.1670  2 Si 2.53-2.60, 1 Mg 2.78
Si7 0.8394 0.2721 0.3139  3 Si 2.53-2.58, 1 Mg 2.75
Si8 0.1730 0.8538 0.7880  2 Si 2.52-2.65, 2 Mg 2.70-2.76
Si9 0.1867 0.4321 0.7923  2 Si 2.52-2.63, 1 Mg 2.79
Si10 0.7435 0.5157 0.5243  2 Si 2.51-2.77, 1 Mg 2.80
Mg1 0.5443 0.8847 0.0868  4 Si 2.87-2.97, 5 Mg 3.00-3.13
Mg2 0.1204 0.2325 0.9758  2 Si 2.79-2.86, 5 Mg 2.95-3.06
Mg3 0.8236 0.0491 0.5126  5 Si 2.78-3.08, 2 Mg 2.97-3.11
Mg4 0.3014 0.3627 0.4247  8 Si 2.82-3.14, 1 Mg 3.11
Mg5 0.2258 0.6667 0.6110  9 Si 2.81-3.10, 3 Mg 3.00-3.11
Mg6 0.5912 0.3789 0.0792  2 Si 2.78-3.11, 7 Mg 2.94-3.07
Mg7 0.0952 0.7388 0.9749  1 Si 2.70, 5 Mg 2.93-3.02
Mg8 0.6420 0.5891 0.8748  5 Si 2.77-2.91, 5 Mg 2.97-3.07
Mg9 0.2802 0.1611 0.6379  5 Si 2.76-3.09, 2 Mg 3.00-3.07
Mg10 0.9461 0.7963 0.3421  6 Si 2.75-2.96, 2 Mg 2.95-2.97
Mg11 0.6425 0.0920 0.8593  5 Si 2.83-3.11, 3 Mg 3.01
Mg12 0.0571 0.5482 0.1713  4 Si 2.75-2.92, 4 Mg 2.93-3.02

Entry 4:
Here is crystalline CaTaNO2 at its relaxed geometry from the Materials Project database. Energies are from PBE.

The value obtained for the maximum piezoelectric response is 9.56 C/m2. Its space group is No. 26. Its total energy is -8.825 eV per atom.

a = 5.5967 Å, b = 5.7150 Å, c = 7.8579 Å
α = 90.00°, β = 90.00°, γ = 90.00°
Last column: nearest neighbours and their distance in Å.
Fractional positions:
N1 0.9643 0.2163 0.2960  2 Ta 1.94-2.02
N2 0.0357 0.7163 0.7040  2 Ta 1.94-2.02
N3 0.9643 0.2163 0.7040  2 Ta 1.94-2.02
N4 0.0357 0.7163 0.2960  2 Ta 1.94-2.02
Ca1 0.7321 0.0375 0.0000  6 O 2.37-2.64
Ca2 0.2423 0.4507 0.5000  2 O 2.34-2.48, 4 N 2.49-2.60
Ca3 0.2679 0.5375 0.0000  6 O 2.37-2.64
Ca4 0.7577 0.9507 0.5000  2 O 2.34-2.48, 4 N 2.49-2.60
O1 0.1680 0.9820 0.0000  2 Ta 2.03
O2 0.5376 0.7961 0.7980  2 Ta 2.06-2.21
O3 0.5376 0.7961 0.2020  2 Ta 2.06-2.21
O4 0.6533 0.5291 0.5000  2 Ta 2.05
O5 0.8320 0.4820 0.0000  2 Ta 2.03
O6 0.3467 0.0291 0.5000  2 Ta 2.05
O7 0.4624 0.2961 0.7980  2 Ta 2.06-2.21
O8 0.4624 0.2961 0.2020  2 Ta 2.06-2.21
Ta1 0.7654 0.4880 0.7459  2 N 1.94-2.02, 3 O 2.03-2.06
Ta2 0.2346 0.9880 0.7459  2 N 1.94-2.02, 3 O 2.03-2.06
Ta3 0.7654 0.4880 0.2541  2 N 1.94-2.02, 3 O 2.03-2.06
Ta4 0.2346 0.9880 0.2541  2 N 1.94-2.02, 3 O 2.03-2.06